# 1
Computed, not measured: Ce4In8Ni7 after structural relaxation at the GGA-PBE level of DFT.

Results
space group: Cmmm, No. 65
energy of formation: -0.350 eV/atom
crystal system: orthorhombic
magnetic moment: 1.59 μB per formula unit
final energy: -185.7 eV for the cell shown

a b c (Å): 4.4093 13.9920 13.9920
angles (deg): 117.57 90.00 90.00
Fractional coordinates of all 38 atoms:
In 0.5000 0.0000 0.0000
In 0.5000 0.1909 0.8091
In 0.5000 0.1224 0.5585
In 0.5000 0.1810 0.3702
In 0.5000 0.4415 0.8776
In 0.5000 0.5585 0.1224
In 0.0000 0.0848 0.9152
In 0.5000 0.8776 0.4415
In 0.0000 0.9152 0.0848
In 0.5000 0.8091 0.1909
In 0.0000 0.7210 0.2790
In 0.5000 0.6298 0.8190
In 0.0000 0.2790 0.7210
In 0.0000 0.5000 0.5000
In 0.5000 0.8190 0.6298
In 0.5000 0.3702 0.1810
Ni 0.5000 0.0012 0.1937
Ni 0.5000 0.8063 0.9988
Ni 0.0000 0.7036 0.5965
Ni 0.0000 0.4899 0.7990
Ni 0.5000 0.3829 0.3829
Ni 0.0000 0.7990 0.4899
Ni 0.5000 0.1937 0.0012
Ni 0.0000 0.5101 0.2010
Ni 0.0000 0.2010 0.5101
Ni 0.0000 0.4035 0.2964
Ni 0.0000 0.2964 0.4035
Ni 0.5000 0.9988 0.8063
Ni 0.5000 0.6171 0.6171
Ni 0.0000 0.5965 0.7036
Ce 0.0000 0.3474 0.9972
Ce 0.0000 0.1905 0.1905
Ce 0.0000 0.6526 0.0028
Ce 0.5000 0.6036 0.3964
Ce 0.0000 0.8095 0.8095
Ce 0.0000 0.0028 0.6526
Ce 0.0000 0.9972 0.3474
Ce 0.5000 0.3964 0.6036

***

# 2
Computed, not measured: Ce11In9Ni4 after structural relaxation at the GGA-PBE level of DFT.

Results
space group: Cmmm, No. 65
energy of formation: -0.390 eV/atom
crystal system: orthorhombic
magnetic moment: 5.11 μB per formula unit
final energy: -122.5 eV for the cell shown

a b c (Å): 13.0205 13.0205 3.6960
angles (deg): 90.00 90.00 112.25
Fractional coordinates of all 24 atoms:
Ni 0.5491 0.7481 0.5000
Ni 0.7481 0.5491 0.5000
Ni 0.4509 0.2519 0.5000
Ni 0.2519 0.4509 0.5000
Ce 0.8436 0.1564 0.0000
Ce 0.0705 0.4158 0.0000
Ce 0.3755 0.6245 0.0000
Ce 0.3131 0.3131 0.0000
Ce 0.4158 0.0705 0.0000
Ce 0.9295 0.5842 0.0000
Ce 0.0000 0.0000 0.0000
Ce 0.6245 0.3755 0.0000
Ce 0.1564 0.8436 0.0000
Ce 0.5842 0.9295 0.0000
Ce 0.6869 0.6869 0.0000
In 0.2215 0.0815 0.5000
In 0.0815 0.2215 0.5000
In 0.6318 0.1624 0.5000
In 0.3682 0.8376 0.5000
In 0.9185 0.7785 0.5000
In 0.1624 0.6318 0.5000
In 0.7785 0.9185 0.5000
In 0.5000 0.5000 0.5000
In 0.8376 0.3682 0.5000

***

# 3
Computed, not measured: CeIn6Ni3 after structural relaxation at the GGA-PBE level of DFT.

Results
space group: Pmmn, No. 59
energy of formation: -0.249 eV/atom
crystal system: orthorhombic
magnetic moment: 0.78 μB per formula unit
final energy: -84.6 eV for the cell shown

a b c (Å): 4.4111 7.7049 11.8706
angles (deg): 90.00 90.00 90.00
Fractional coordinates of all 20 atoms:
Ni 0.7500 0.0744 0.9347
Ni 0.2500 0.9256 0.0653
Ni 0.7500 0.4256 0.9347
Ni 0.7500 0.2500 0.5296
Ni 0.2500 0.5744 0.0653
Ni 0.2500 0.7500 0.4704
In 0.7500 0.7500 0.9879
In 0.7500 0.9499 0.4157
In 0.7500 0.0496 0.1640
In 0.7500 0.4504 0.1640
In 0.2500 0.0501 0.5843
In 0.2500 0.4499 0.5843
In 0.2500 0.9504 0.8360
In 0.7500 0.2500 0.7486
In 0.2500 0.5496 0.8360
In 0.2500 0.7500 0.2514
In 0.7500 0.5501 0.4157
In 0.2500 0.2500 0.0121
Ce 0.2500 0.2500 0.3240
Ce 0.7500 0.7500 0.6760

***

# 4
Computed, not measured: CeInNi4 after structural relaxation at the GGA-PBE level of DFT.

Results
space group: F-43m, No. 216
energy of formation: -0.369 eV/atom
crystal system: cubic
final energy: -34.0 eV for the cell shown

a b c (Å): 4.9951 4.9951 4.9951
angles (deg): 60.00 60.00 60.00
Fractional coordinates of all 6 atoms:
Ni 0.1281 0.6240 0.6240
Ni 0.6240 0.6240 0.1281
Ni 0.6240 0.6240 0.6240
Ni 0.6240 0.1281 0.6240
In 0.2500 0.2500 0.2500
Ce 0.0000 0.0000 0.0000

***

# 5
Computed, not measured: CeIn2Pd3 after structural relaxation at the GGA-PBE level of DFT.

Results
space group: Pnma, No. 62
energy of formation: -0.674 eV/atom
crystal system: orthorhombic
magnetic moment: 0.12 μB per formula unit
final energy: -124.1 eV for the cell shown

a b c (Å): 4.6929 9.9513 10.2659
angles (deg): 90.00 90.00 90.00
Fractional coordinates of all 24 atoms:
Pd 0.2500 0.6048 0.4735
Pd 0.2500 0.3534 0.1199
Pd 0.7500 0.2371 0.7563
Pd 0.2500 0.7629 0.2437
Pd 0.2500 0.8952 0.9735
Pd 0.7500 0.1048 0.0265
Pd 0.2500 0.1466 0.6199
Pd 0.2500 0.7371 0.7437
Pd 0.7500 0.8534 0.3801
Pd 0.7500 0.6466 0.8801
Pd 0.7500 0.2629 0.2563
Pd 0.7500 0.3952 0.5265
In 0.7500 0.1149 0.4832
In 0.2500 0.6149 0.0168
In 0.7500 0.6595 0.6047
In 0.2500 0.1595 0.8953
In 0.7500 0.3851 0.9832
In 0.2500 0.8851 0.5168
In 0.7500 0.8405 0.1047
In 0.2500 0.3405 0.3953
Ce 0.7500 0.5582 0.2699
Ce 0.2500 0.0582 0.2301
Ce 0.7500 0.9418 0.7699
Ce 0.2500 0.4418 0.7301

***

# 6
Computed, not measured: Ce4In21Pd10 after structural relaxation at the GGA-PBE level of DFT.

Results
space group: C2/m, No. 12
energy of formation: -0.498 eV/atom
crystal system: monoclinic
magnetic moment: 1.51 μB per formula unit
final energy: -150.7 eV for the cell shown

a b c (Å): 12.0416 12.0416 17.5915
angles (deg): 56.02 56.02 21.20
Fractional coordinates of all 35 atoms:
In 0.3976 0.3976 0.4961
In 0.6024 0.6024 0.5039
In 0.6314 0.6314 0.2990
In 0.0104 0.0104 0.4084
In 0.2511 0.2511 0.2073
In 0.7489 0.7489 0.7927
In 0.3686 0.3686 0.7010
In 0.9896 0.9896 0.5916
In 0.4576 0.4576 0.8677
In 0.2990 0.2990 0.9989
In 0.6161 0.6161 0.7951
In 0.7010 0.7010 0.0011
In 0.2024 0.2024 0.4934
In 0.3839 0.3839 0.2049
In 0.0651 0.0651 0.7019
In 0.8838 0.8838 0.0525
In 0.5424 0.5424 0.1323
In 0.9349 0.9349 0.2981
In 0.1162 0.1162 0.9475
In 0.5000 0.5000 0.0000
In 0.7976 0.7976 0.5066
Pd 0.4948 0.4948 0.6869
Pd 0.3460 0.3460 0.3869
Pd 0.9757 0.9757 0.1109
Pd 0.0243 0.0243 0.8891
Pd 0.2492 0.2492 0.8859
Pd 0.1364 0.1364 0.3933
Pd 0.6540 0.6540 0.6131
Pd 0.7508 0.7508 0.1141
Pd 0.8636 0.8636 0.6067
Pd 0.5052 0.5052 0.3131
Ce 0.8776 0.8776 0.8335
Ce 0.7707 0.7707 0.3251
Ce 0.1224 0.1224 0.1665
Ce 0.2293 0.2293 0.6749

***

# 7
Computed, not measured: Ce2InPd2 after structural relaxation at the GGA-PBE level of DFT.

Results
space group: P4/mbm, No. 127
energy of formation: -0.751 eV/atom
crystal system: tetragonal
final energy: -57.5 eV for the cell shown

a b c (Å): 7.8252 7.8252 3.8066
angles (deg): 90.00 90.00 90.00
Fractional coordinates of all 10 atoms:
In 0.5000 0.5000 0.0000
In 0.0000 0.0000 0.0000
Pd 0.8706 0.3706 0.0000
Pd 0.3706 0.1294 0.0000
Pd 0.1294 0.6294 0.0000
Pd 0.6294 0.8706 0.0000
Ce 0.6745 0.1745 0.5000
Ce 0.1745 0.3255 0.5000
Ce 0.3255 0.8255 0.5000
Ce 0.8255 0.6745 0.5000

***

# 8
Computed, not measured: CeInPd after structural relaxation at the GGA-PBE level of DFT.

Results
space group: P-62m, No. 189
energy of formation: -0.721 eV/atom
crystal system: hexagonal
final energy: -48.1 eV for the cell shown

a b c (Å): 7.6767 7.6767 4.0643
angles (deg): 90.00 90.00 120.00
Fractional coordinates of all 9 atoms:
Pd 0.0000 0.0000 0.0000
Pd 0.3333 0.6667 0.5000
Pd 0.6667 0.3333 0.5000
Ce 0.0000 0.5839 0.0000
Ce 0.4161 0.4161 0.0000
Ce 0.5839 0.0000 0.0000
In 0.0000 0.2494 0.5000
In 0.2494 0.0000 0.5000
In 0.7506 0.7506 0.5000

***

# 9
Computed, not measured: CeInPd2 after structural relaxation at the GGA-PBE level of DFT.

Results
space group: P6_3/mmc, No. 194
energy of formation: -0.722 eV/atom
crystal system: hexagonal
final energy: -43.9 eV for the cell shown

a b c (Å): 4.6906 4.6906 9.0672
angles (deg): 90.00 90.00 120.00
Fractional coordinates of all 8 atoms:
Ce 0.6667 0.3333 0.7500
Ce 0.3333 0.6667 0.2500
Pd 0.3333 0.6667 0.9157
Pd 0.6667 0.3333 0.4157
Pd 0.6667 0.3333 0.0843
Pd 0.3333 0.6667 0.5843
In 0.0000 0.0000 0.0000
In 0.0000 0.0000 0.5000

***

# 10
Computed, not measured: Ce2In5Pd4 after structural relaxation at the GGA-PBE level of DFT.

Results
space group: P2_1/m, No. 11
energy of formation: -0.586 eV/atom
crystal system: monoclinic
magnetic moment: 0.07 μB per formula unit
final energy: -105.6 eV for the cell shown

a b c (Å): 4.6674 9.7228 10.6405
angles (deg): 77.30 90.00 90.00
Fractional coordinates of all 22 atoms:
In 0.2500 0.9174 0.3469
In 0.7500 0.5940 0.6401
In 0.2500 0.4060 0.3599
In 0.7500 0.1181 0.9250
In 0.2500 0.8819 0.0750
In 0.7500 0.1671 0.3501
In 0.2500 0.8329 0.6499
In 0.7500 0.4226 0.9210
In 0.7500 0.0826 0.6531
In 0.2500 0.5774 0.0790
Pd 0.2500 0.5738 0.8161
Pd 0.7500 0.9832 0.1849
Pd 0.2500 0.1228 0.5036
Pd 0.7500 0.3710 0.5127
Pd 0.7500 0.8772 0.4964
Pd 0.2500 0.0168 0.8151
Pd 0.2500 0.6290 0.4873
Pd 0.7500 0.4262 0.1839
Ce 0.7500 0.6737 0.2966
Ce 0.7500 0.7756 0.8892
Ce 0.2500 0.3263 0.7034
Ce 0.2500 0.2244 0.1108

***

# 11
Computed, not measured: CeIn4Pd2 after structural relaxation at the GGA-PBE level of DFT.

Results
space group: Pnma, No. 62
energy of formation: -0.521 eV/atom
crystal system: orthorhombic
magnetic moment: 0.72 μB per formula unit
final energy: -123.8 eV for the cell shown

a b c (Å): 4.5291 7.3257 18.3344
angles (deg): 90.00 90.00 90.00
Fractional coordinates of all 28 atoms:
In 0.2500 0.7537 0.1912
In 0.7500 0.9884 0.0706
In 0.2500 0.4884 0.4294
In 0.2500 0.3449 0.6860
In 0.7500 0.3538 0.9666
In 0.2500 0.7463 0.6912
In 0.2500 0.6462 0.0334
In 0.7500 0.6551 0.3140
In 0.2500 0.1551 0.1860
In 0.2500 0.8538 0.5334
In 0.7500 0.1462 0.4666
In 0.2500 0.0116 0.9294
In 0.7500 0.2537 0.3088
In 0.7500 0.2463 0.8088
In 0.7500 0.8449 0.8140
In 0.7500 0.5116 0.5706
Ce 0.7500 0.0401 0.6420
Ce 0.2500 0.9599 0.3580
Ce 0.7500 0.4599 0.1420
Ce 0.2500 0.5401 0.8580
Pd 0.2500 0.2614 0.0428
Pd 0.2500 0.4513 0.2776
Pd 0.7500 0.9513 0.2224
Pd 0.2500 0.2386 0.5428
Pd 0.7500 0.7386 0.9572
Pd 0.2500 0.0487 0.7776
Pd 0.7500 0.5487 0.7224
Pd 0.7500 0.7614 0.4572

***

# 12
Computed, not measured: CeIn4Pd after structural relaxation at the GGA-PBE level of DFT.

Results
space group: Cmcm, No. 63
energy of formation: -0.443 eV/atom
crystal system: orthorhombic
magnetic moment: 0.97 μB per formula unit
final energy: -49.6 eV for the cell shown

a b c (Å): 8.8657 8.8657 7.3465
angles (deg): 90.00 90.00 149.81
Fractional coordinates of all 12 atoms:
In 0.4319 0.5681 0.2500
In 0.0000 0.0000 0.0000
In 0.5681 0.4319 0.7500
In 0.1826 0.8174 0.9536
In 0.8174 0.1826 0.4536
In 0.0000 0.0000 0.5000
In 0.8174 0.1826 0.0464
In 0.1826 0.8174 0.5464
Ce 0.6177 0.3823 0.2500
Ce 0.3823 0.6177 0.7500
Pd 0.7245 0.2755 0.7500
Pd 0.2755 0.7245 0.2500

***

# 13
Computed, not measured: Ce5In4Pt2 after structural relaxation at the GGA-PBE level of DFT.

Results
space group: Pbam, No. 55
energy of formation: -0.679 eV/atom
crystal system: orthorhombic
final energy: -120.6 eV for the cell shown

a b c (Å): 3.8243 8.1530 18.4154
angles (deg): 90.00 90.00 90.00
Fractional coordinates of all 22 atoms:
In 0.0000 0.7898 0.0699
In 0.0000 0.2898 0.4301
In 0.0000 0.4320 0.1479
In 0.0000 0.9320 0.3521
In 0.0000 0.0680 0.6479
In 0.0000 0.5680 0.8521
In 0.0000 0.7102 0.5699
In 0.0000 0.2102 0.9301
Ce 0.5000 0.1260 0.0793
Ce 0.5000 0.5000 0.0000
Ce 0.5000 0.2422 0.2775
Ce 0.5000 0.7422 0.2225
Ce 0.5000 0.7578 0.7225
Ce 0.5000 0.2578 0.7775
Ce 0.5000 0.3740 0.5793
Ce 0.5000 0.8740 0.9207
Ce 0.5000 0.0000 0.5000
Ce 0.5000 0.6260 0.4207
Pt 0.0000 0.5217 0.3048
Pt 0.0000 0.9783 0.8048
Pt 0.0000 0.0217 0.1952
Pt 0.0000 0.4783 0.6952

***

# 14
Computed, not measured: Ce12InPt7 after structural relaxation at the GGA-PBE level of DFT.

Results
space group: I4/mcm, No. 140
energy of formation: -0.795 eV/atom
crystal system: tetragonal
magnetic moment: 6.25 μB per formula unit
final energy: -264.7 eV for the cell shown

a b c (Å): 11.0902 11.0902 11.0902
angles (deg): 114.57 114.57 99.70
Fractional coordinates of all 40 atoms:
Ce 0.1474 0.4267 0.8617
Ce 0.6474 0.7857 0.7207
Ce 0.4350 0.7143 0.8617
Ce 0.0733 0.3526 0.1383
Ce 0.8538 0.3538 0.5000
Ce 0.9267 0.6474 0.8617
Ce 0.8254 0.6746 0.5000
Ce 0.8526 0.5733 0.1383
Ce 0.5733 0.4350 0.7207
Ce 0.3254 0.8254 0.1507
Ce 0.4267 0.5650 0.2793
Ce 0.6746 0.1746 0.8493
Ce 0.3526 0.2143 0.2793
Ce 0.6462 0.1462 0.5000
Ce 0.2143 0.9350 0.8617
Ce 0.3538 0.8538 0.5000
Ce 0.0650 0.9267 0.2793
Ce 0.2857 0.1474 0.7207
Ce 0.5650 0.2857 0.1383
Ce 0.1462 0.6462 0.5000
Ce 0.1746 0.3254 0.5000
Ce 0.7857 0.0650 0.1383
Ce 0.9350 0.0733 0.7207
Ce 0.7143 0.8526 0.2793
Pt 0.7500 0.7500 0.0000
Pt 0.2500 0.2500 0.0000
Pt 0.3741 0.1259 0.5000
Pt 0.0184 0.8669 0.5000
Pt 0.1331 0.6331 0.1515
Pt 0.9816 0.1331 0.5000
Pt 0.1259 0.6259 0.7518
Pt 0.5184 0.0184 0.1515
Pt 0.8669 0.3669 0.8485
Pt 0.6331 0.4816 0.5000
Pt 0.3669 0.5184 0.5000
Pt 0.4816 0.9816 0.8485
Pt 0.6259 0.8741 0.5000
Pt 0.8741 0.3741 0.2482
In 0.5000 0.5000 0.0000
In 0.0000 0.0000 0.0000

***

# 15
Computed, not measured: Ce2InPt2 after structural relaxation at the GGA-PBE level of DFT.

Results
space group: P4/mbm, No. 127
energy of formation: -1.019 eV/atom
crystal system: tetragonal
final energy: -63.7 eV for the cell shown

a b c (Å): 7.8557 7.8557 3.7636
angles (deg): 90.00 90.00 90.00
Fractional coordinates of all 10 atoms:
Ce 0.6725 0.8275 0.5000
Ce 0.8275 0.3275 0.5000
Ce 0.3275 0.1725 0.5000
Ce 0.1725 0.6725 0.5000
In 0.5000 0.5000 0.0000
In 0.0000 0.0000 0.0000
Pt 0.1310 0.3690 0.0000
Pt 0.3690 0.8690 0.0000
Pt 0.8690 0.6310 0.0000
Pt 0.6310 0.1310 0.0000